{
  "formula": "Li7VO5F",
  "functional": "PBE with a Hubbard U",
  "state": "optimized geometry",
  "lattice": [[5.3779, 0.0000, 0.0000], [-2.6409, 4.7135, 0.0000], [-0.0368, -3.1071, 5.0309]],
  "species": ["Li", "Li", "Li", "Li", "Li", "Li", "Li", "V", "O", "O", "O", "O", "O", "F"],
  "fractional_positions": [[0.2339, 0.4615, 0.6316], [0.4728, 0.8994, 0.3318], [0.2895, 0.6230, 0.0275], [0.7448, 0.3468, 0.0142], [0.4851, 0.1126, 0.6431], [0.9126, 0.8064, 0.6137], [0.7829, 0.5144, 0.3735], [0.9582, 0.9763, 0.9829], [0.0748, 0.6172, 0.2326], [0.2357, 0.0661, 0.8184], [0.6132, 0.7788, 0.7409], [0.7719, 0.9136, 0.2199], [0.9118, 0.3848, 0.7598], [0.4085, 0.2485, 0.2576]],
  "e_above_lowest_polymorph_mev_per_atom": 946,
  "magnetic_moment_mub_per_fu": 1.0,
  "formation_enthalpy_0k_ev_per_atom": -1.42,
  "final_energy_ha_per_atom": -0.1663
}

---

{
  "formula": "Li2V3O3F5",
  "functional": "PBE with a Hubbard U",
  "state": "optimized geometry",
  "lattice": [[-0.9682, 5.6731, -1.5219], [-4.6365, -2.2637, -6.7666], [-5.0207, -0.0496, 3.4991]],
  "species": ["Li", "Li", "Li", "Li", "V", "V", "V", "V", "V", "V", "O", "O", "O", "O", "O", "O", "F", "F", "F", "F", "F", "F", "F", "F", "F", "F"],
  "fractional_positions": [[0.5077, 0.4997, 0.4958], [0.0078, 0.9997, 0.9958], [0.9940, 0.7476, 0.5108], [0.4940, 0.2476, 0.0108], [0.5027, 0.8732, 0.7527], [0.9977, 0.3874, 0.7520], [0.2340, 0.6248, 0.9900], [0.0026, 0.3732, 0.2527], [0.4977, 0.8873, 0.2520], [0.7340, 0.1248, 0.4899], [0.5231, 0.1085, 0.2561], [0.0232, 0.6086, 0.7562], [0.2822, 0.8609, 0.9918], [0.7821, 0.3609, 0.4918], [0.7186, 0.8854, 0.5096], [0.2187, 0.3855, 0.0097], [0.4765, 0.6398, 0.2445], [0.9765, 0.1398, 0.7444], [0.7342, 0.8782, 0.0002], [0.2342, 0.3782, 0.5003], [0.4880, 0.6345, 0.7569], [0.9880, 0.1345, 0.2569], [0.0135, 0.6132, 0.2473], [0.5136, 0.1132, 0.7473], [0.7692, 0.3705, 0.0033], [0.2692, 0.8706, 0.5034]],
  "e_above_lowest_polymorph_mev_per_atom": 0,
  "magnetic_moment_mub_per_fu": 0.0,
  "formation_enthalpy_0k_ev_per_atom": -2.88,
  "final_energy_ha_per_atom": -0.2359
}

---

{
  "formula": "Li2VO2F",
  "functional": "PBE with a Hubbard U",
  "state": "optimized geometry",
  "lattice": [[-2.0628, 4.3874, -2.0195], [4.1269, 4.4176, 4.1012], [2.0603, -0.0294, -6.1178]],
  "species": ["Li", "Li", "Li", "Li", "Li", "Li", "Li", "Li", "V", "V", "V", "V", "O", "O", "O", "O", "O", "O", "O", "O", "F", "F", "F", "F"],
  "fractional_positions": [[0.1690, 0.8300, 0.5085], [0.6690, 0.3300, 0.0084], [0.9989, 0.0025, 0.9946], [0.4989, 0.5024, 0.4946], [0.5394, 0.8928, 0.7544], [0.0394, 0.3928, 0.2544], [0.8422, 0.1750, 0.4925], [0.3422, 0.6750, 0.9924], [0.2556, 0.2480, 0.7577], [0.4461, 0.1028, 0.2410], [0.7556, 0.7479, 0.2578], [0.9459, 0.6029, 0.7411], [0.8318, 0.6665, 0.4988], [0.3319, 0.1666, 0.9989], [0.4954, 0.0026, 0.4910], [0.9955, 0.5026, 0.9910], [0.7342, 0.2422, 0.2495], [0.2342, 0.7422, 0.7495], [0.1692, 0.3304, 0.5098], [0.6690, 0.8304, 0.0099], [0.0811, 0.9116, 0.2579], [0.5813, 0.4119, 0.7579], [0.9370, 0.0955, 0.7442], [0.4371, 0.5955, 0.2442]],
  "e_above_lowest_polymorph_mev_per_atom": 95,
  "magnetic_moment_mub_per_fu": 0.0,
  "formation_enthalpy_0k_ev_per_atom": -2.62,
  "final_energy_ha_per_atom": -0.2259
}

---

{
  "formula": "LiV2OF5",
  "functional": "PBE with a Hubbard U",
  "state": "optimized geometry",
  "lattice": [[4.6618, 0.0000, 0.0000], [-0.0064, 5.2023, 0.0000], [-0.0631, -0.0701, 17.0856]],
  "species": ["Li", "Li", "Li", "Li", "V", "V", "V", "V", "V", "V", "V", "V", "O", "O", "O", "O", "F", "F", "F", "F", "F", "F", "F", "F", "F", "F", "F", "F", "F", "F", "F", "F", "F", "F", "F", "F"],
  "fractional_positions": [[0.0183, 0.7515, 0.6205], [0.9942, 0.2451, 0.3824], [0.4995, 0.7495, 0.1201], [0.5088, 0.2321, 0.8821], [0.0205, 0.2759, 0.7167], [0.9750, 0.7535, 0.9430], [0.9961, 0.2508, 0.0483], [0.9696, 0.7667, 0.2842], [0.5013, 0.7508, 0.7841], [0.5190, 0.7575, 0.4435], [0.5102, 0.2302, 0.2164], [0.5040, 0.2556, 0.5490], [0.7326, 0.9343, 0.2095], [0.7720, 0.8987, 0.3733], [0.7264, 0.8810, 0.8707], [0.2441, 0.5686, 0.7147], [0.7726, 0.9194, 0.0376], [0.7656, 0.4062, 0.9634], [0.7359, 0.4105, 0.7927], [0.7675, 0.4175, 0.6246], [0.7329, 0.4073, 0.1253], [0.7698, 0.9367, 0.7070], [0.7612, 0.4187, 0.2931], [0.7245, 0.9216, 0.5384], [0.7281, 0.4112, 0.4630], [0.2840, 0.5866, 0.5364], [0.2811, 0.0919, 0.4630], [0.2332, 0.0868, 0.2938], [0.2582, 0.0937, 0.1246], [0.2591, 0.5829, 0.8747], [0.2425, 0.0996, 0.6258], [0.2388, 0.5910, 0.3721], [0.2606, 0.5671, 0.2116], [0.2672, 0.0792, 0.7942], [0.2135, 0.0889, 0.9621], [0.2123, 0.5818, 0.0381]],
  "e_above_lowest_polymorph_mev_per_atom": 27,
  "magnetic_moment_mub_per_fu": 4.0,
  "formation_enthalpy_0k_ev_per_atom": -3.03,
  "final_energy_ha_per_atom": -0.2267
}

---

{
  "formula": "LiVOF3",
  "functional": "PBE with a Hubbard U",
  "state": "optimized geometry",
  "lattice": [[-2.1722, 6.9770, 2.8989], [-3.5224, 2.8909, -6.5026], [-10.5855, -0.1087, 1.5644]],
  "species": ["Li", "Li", "Li", "Li", "Li", "Li", "Li", "Li", "V", "V", "V", "V", "V", "V", "V", "V", "O", "O", "O", "O", "O", "O", "O", "O", "F", "F", "F", "F", "F", "F", "F", "F", "F", "F", "F", "F", "F", "F", "F", "F", "F", "F", "F", "F", "F", "F", "F", "F"],
  "fractional_positions": [[0.0966, 0.5531, 0.0362], [0.0932, 0.5507, 0.5349], [0.7848, 0.8467, 0.2839], [0.3004, 0.3436, 0.2852], [0.2779, 0.3525, 0.7825], [0.5983, 0.0525, 0.5335], [0.4394, 0.0910, 0.9793], [0.7937, 0.8478, 0.7869], [0.0198, 0.9951, 0.4826], [0.2446, 0.7637, 0.2356], [0.7477, 0.2690, 0.2324], [0.2485, 0.7712, 0.7325], [0.5208, 0.4965, 0.4830], [0.0111, 0.9947, 0.9862], [0.5199, 0.4947, 0.9825], [0.7483, 0.2684, 0.7338], [0.0638, 0.8632, 0.3759], [0.1164, 0.8141, 0.1238], [0.6185, 0.3236, 0.1230], [0.1188, 0.8163, 0.6232], [0.5659, 0.3665, 0.3742], [0.0704, 0.8721, 0.8717], [0.5565, 0.3599, 0.8768], [0.6220, 0.3188, 0.6217], [0.3775, 0.9688, 0.1622], [0.2854, 0.4003, 0.0975], [0.3884, 0.6932, 0.3820], [0.4421, 0.6347, 0.1320], [0.9461, 0.1385, 0.1291], [0.7251, 0.6304, 0.4115], [0.2254, 0.1281, 0.4103], [0.8849, 0.4706, 0.1632], [0.1534, 0.5317, 0.3498], [0.6536, 0.0381, 0.3478], [0.7896, 0.8980, 0.0973], [0.4449, 0.6377, 0.6324], [0.8900, 0.1928, 0.3816], [0.2300, 0.1316, 0.9151], [0.8801, 0.4741, 0.6651], [0.3838, 0.9740, 0.6612], [0.1509, 0.5405, 0.8494], [0.2844, 0.4052, 0.5971], [0.7853, 0.9050, 0.5989], [0.3898, 0.6946, 0.8824], [0.8929, 0.1944, 0.8765], [0.9464, 0.1377, 0.6317], [0.7242, 0.6282, 0.9086], [0.6440, 0.0379, 0.8419]],
  "e_above_lowest_polymorph_mev_per_atom": 28,
  "magnetic_moment_mub_per_fu": 1.0,
  "formation_enthalpy_0k_ev_per_atom": -2.95,
  "final_energy_ha_per_atom": -0.2181
}

---

{
  "formula": "LiV2OF5",
  "functional": "PBE with a Hubbard U",
  "state": "optimized geometry",
  "lattice": [[5.7843, 3.8443, 5.3031], [-6.3597, -4.9738, 3.3429], [2.7143, -3.6716, -0.2990]],
  "species": ["Li", "Li", "Li", "V", "V", "V", "V", "V", "V", "O", "O", "O", "F", "F", "F", "F", "F", "F", "F", "F", "F", "F", "F", "F", "F", "F", "F"],
  "fractional_positions": [[0.3333, 0.6667, 0.4981], [0.0000, 0.0000, 0.9711], [0.6667, 0.3333, 0.4801], [0.0067, 0.6649, 0.9882], [0.0074, 0.3136, 0.5178], [0.3351, 0.3418, 0.9882], [0.3062, 0.9926, 0.5178], [0.6864, 0.6938, 0.5178], [0.6582, 0.9933, 0.9882], [0.1122, 0.8711, 0.7645], [0.1289, 0.2411, 0.7645], [0.7589, 0.8878, 0.7645], [0.2146, 0.7694, 0.2646], [0.1084, 0.5433, 0.7383], [0.4348, 0.8916, 0.7383], [0.2306, 0.4452, 0.2646], [0.5548, 0.7854, 0.2646], [0.2272, 0.1146, 0.2399], [0.4567, 0.5652, 0.7383], [0.4432, 0.2270, 0.7408], [0.5570, 0.4598, 0.2628], [0.5402, 0.0972, 0.2628], [0.7838, 0.5568, 0.7408], [0.8874, 0.7728, 0.2399], [0.7730, 0.2162, 0.7408], [0.9028, 0.4430, 0.2628], [0.8854, 0.1126, 0.2399]],
  "e_above_lowest_polymorph_mev_per_atom": 13,
  "magnetic_moment_mub_per_fu": 4.0,
  "formation_enthalpy_0k_ev_per_atom": -3.05,
  "final_energy_ha_per_atom": -0.2272
}